Record 1
The following is a GGA-PBE calculation of a relaxed structure of CrN, from the Materials Project.

Values from the calculation:
The calculation puts the formation energy at -15.3 kcal/mol of atoms. The corrected total energy (MP2020 scheme) comes out at -9.6576 eV/atom.

Geometry as POSCAR:
```
CrN
1.0
0.000 2.200 2.200
2.200 0.000 2.200
2.200 2.200 0.000
N Cr
1 1
Cartesian
0.000 0.000 0.000 N
1.100 1.100 1.100 Cr
```

***

Record 2
The following is a GGA-PBE calculation of a relaxed structure of Cr3N2, from the Materials Project.

Values from the calculation:
The calculation puts the formation energy at -10.8 kcal/mol of atoms. The excess energy over the best structure of this formula in the dataset comes out at 81.5 meV per atom. The corrected total energy (MP2020 scheme) comes out at -9.5930 eV/atom.

Geometry as POSCAR:
```
Cr3N2
1.0
-4.772 -0.960 6.249
-4.241 2.512 -6.200
3.441 -6.909 -1.780
Cr N
24 16
Cartesian
-1.335 -0.514 1.379 Cr
-1.277 0.351 -1.481 Cr
-3.446 -0.762 -0.650 Cr
-4.304 -5.674 -0.294 Cr
-3.651 -2.065 2.920 Cr
-1.766 -3.001 0.869 Cr
-1.899 -3.241 -4.655 Cr
0.416 -4.812 -1.671 Cr
0.553 -3.939 -4.089 Cr
-5.269 1.352 -1.718 Cr
-6.109 -1.456 2.322 Cr
-4.330 -2.873 0.531 Cr
-0.350 -6.687 -0.036 Cr
-3.786 0.128 -3.431 Cr
-2.123 -4.650 -1.078 Cr
-1.292 -2.489 -2.239 Cr
-1.971 -3.840 3.729 Cr
-3.620 -1.545 -5.417 Cr
0.532 -1.835 -0.544 Cr
-1.735 -5.467 1.699 Cr
-6.062 -3.556 -1.188 Cr
-4.259 -4.827 -3.062 Cr
-5.960 -0.514 -0.026 Cr
-3.832 -2.363 -2.649 Cr
-4.489 0.780 0.001 N
-2.987 -1.510 1.132 N
-2.489 -0.906 -2.338 N
-4.980 -1.937 -1.054 N
-6.925 0.261 -1.604 N
-0.021 -0.020 -0.007 N
-4.700 -0.445 3.337 N
-0.592 -3.416 -0.679 N
-0.679 -3.908 2.241 N
-3.083 -4.448 0.610 N
-2.726 0.227 -5.093 N
-2.582 -3.847 -2.863 N
-0.874 -4.915 -5.067 N
-2.852 -5.583 3.362 N
1.352 -5.619 -0.131 N
-0.384 -2.208 -3.967 N
```

***

Record 3
The following is a GGA-PBE calculation of a relaxed structure of Cr3N2, from the Materials Project.

Values from the calculation:
The calculation puts the formation energy at -12.6 kcal/mol of atoms. The excess energy over the best structure of this formula in the dataset comes out at 0.0 meV per atom. The corrected total energy (MP2020 scheme) comes out at -9.6745 eV/atom.

Geometry as POSCAR:
```
Cr3N2
1.0
1.347 1.632 5.063
-2.722 -0.735 4.708
1.385 -3.035 4.357
Cr N
6 4
Cartesian
-0.042 0.683 6.125 Cr
1.406 -1.639 5.772 Cr
0.052 -2.822 8.003 Cr
-1.352 -1.718 5.763 Cr
1.362 -0.421 8.366 Cr
-1.396 -0.500 8.356 Cr
0.006 -1.410 9.315 N
0.008 -1.798 11.877 N
0.003 -0.729 4.813 N
0.002 -0.341 2.251 N
```

***

Record 4
The following is a GGA-PBE calculation of a relaxed structure of Cr3N2, from the Materials Project.

Values from the calculation:
The calculation puts the formation energy at -11.4 kcal/mol of atoms. The excess energy over the best structure of this formula in the dataset comes out at 55.7 meV per atom. The corrected total energy (MP2020 scheme) comes out at -9.6188 eV/atom.

Geometry as POSCAR:
```
Cr3N2
1.0
2.026 -2.026 0.000
2.026 2.026 0.000
-2.026 0.000 5.768
N Cr
2 3
Cartesian
0.000 0.000 1.942 N
2.026 0.000 3.826 N
0.000 0.000 0.000 Cr
2.026 0.000 1.767 Cr
0.000 0.000 4.001 Cr
```

***

Record 5
The following is a GGA-PBE calculation of a relaxed structure of Cr3N4, from the Materials Project.

Values from the calculation:
The calculation puts the formation energy at -8.4 kcal/mol of atoms. The excess energy over the best structure of this formula in the dataset comes out at 146.5 meV per atom. The corrected total energy (MP2020 scheme) comes out at -9.2636 eV/atom.

Geometry as POSCAR:
```
Cr3N4
1.0
4.812 0.000 0.000
0.000 5.892 0.000
0.000 0.000 9.948
Cr N
12 16
Cartesian
4.762 1.473 7.344 Cr
0.000 0.000 0.000 Cr
0.050 4.419 2.605 Cr
1.994 1.473 9.041 Cr
0.412 1.473 4.067 Cr
2.406 2.946 4.974 Cr
2.406 0.000 4.974 Cr
2.456 1.473 2.369 Cr
4.401 4.419 5.882 Cr
2.356 4.419 7.579 Cr
2.818 4.419 0.907 Cr
0.000 2.946 0.000 Cr
1.201 2.863 3.311 N
1.344 4.419 5.823 N
3.582 4.419 9.243 N
3.607 5.809 1.663 N
3.750 1.473 9.100 N
3.637 4.419 4.269 N
1.201 0.083 3.311 N
3.607 3.030 1.663 N
1.176 1.473 5.680 N
3.468 1.473 4.125 N
1.062 4.419 0.849 N
1.205 0.083 8.285 N
3.611 5.809 6.637 N
1.230 1.473 0.706 N
3.611 3.030 6.637 N
1.205 2.863 8.285 N
```

***

Record 6
The following is a GGA-PBE calculation of a relaxed structure of Cr3N4, from the Materials Project.

Values from the calculation:
The calculation puts the formation energy at -9.2 kcal/mol of atoms. The excess energy over the best structure of this formula in the dataset comes out at 111.0 meV per atom. The corrected total energy (MP2020 scheme) comes out at -9.2991 eV/atom.

Geometry as POSCAR:
```
Cr3N4
1.0
-2.354 -0.830 -1.318
1.542 -8.792 2.783
-5.069 1.649 8.018
Cr N
12 16
Cartesian
-1.870 -3.266 3.887 Cr
-2.165 -2.175 0.703 Cr
-1.348 -5.721 1.476 Cr
-4.011 -4.707 5.596 Cr
-3.377 -1.763 5.632 Cr
-2.504 -6.210 3.851 Cr
0.222 -8.092 3.188 Cr
-4.534 -2.253 8.007 Cr
-2.238 -7.145 6.987 Cr
-3.643 -0.828 2.496 Cr
-3.717 -5.798 8.781 Cr
-6.104 0.119 6.296 Cr
-1.711 -1.807 2.682 N
-0.500 -6.346 3.378 N
-0.490 -1.320 0.196 N
-3.134 -0.257 4.250 N
-3.513 -3.345 6.871 N
-2.369 -4.628 2.612 N
-2.976 -7.665 8.634 N
-5.382 -1.627 6.105 N
-1.332 -4.031 0.384 N
-5.391 -6.653 9.287 N
-2.905 -0.308 0.850 N
-4.171 -6.167 6.801 N
-3.833 -3.014 4.212 N
-2.048 -4.959 5.271 N
-2.747 -7.716 5.234 N
-4.549 -3.942 9.099 N
```

***

Record 7
The following is a GGA-PBE calculation of a relaxed structure of Cr3N4, from the Materials Project.

Values from the calculation:
The calculation puts the formation energy at -11.2 kcal/mol of atoms. The excess energy over the best structure of this formula in the dataset comes out at 24.5 meV per atom. The corrected total energy (MP2020 scheme) comes out at -9.3856 eV/atom.

Geometry as POSCAR:
```
Cr3N4
1.0
1.893 -5.373 1.008
-2.658 -3.314 3.926
-3.148 -4.544 -1.706
Cr N
6 8
Cartesian
-2.935 -9.923 2.421 Cr
-0.489 -1.654 0.404 Cr
0.457 -4.340 0.908 Cr
-1.818 -3.311 2.367 Cr
-2.063 -3.926 -0.449 Cr
-1.957 -6.615 1.614 Cr
-3.074 -7.252 0.321 N
-4.413 -8.860 2.318 N
-2.822 -6.619 3.220 N
-3.439 -11.626 2.837 N
-1.819 -9.287 3.715 N
-0.479 -7.678 1.718 N
-1.453 -4.913 1.199 N
-2.071 -9.920 0.816 N
```

***

Record 8
The following is a GGA-PBE calculation of a relaxed structure of Cr3N2, from the Materials Project.

Values from the calculation:
The calculation puts the formation energy at 6.0 kcal/mol of atoms. The excess energy over the best structure of this formula in the dataset comes out at 810.2 meV per atom. The corrected total energy (MP2020 scheme) comes out at -8.8643 eV/atom.

Geometry as POSCAR:
```
Cr3N2
1.0
2.599 -4.501 0.000
2.599 4.501 0.000
0.000 0.000 2.858
N Cr
2 3
Cartesian
2.599 -1.500 2.642 N
2.599 1.500 0.216 N
1.787 -3.096 0.000 Cr
1.787 3.096 0.000 Cr
1.623 0.000 0.000 Cr
```

***

Record 9
The following is a GGA-PBE calculation of a relaxed structure of Cr3N2, from the Materials Project.

Values from the calculation:
The calculation puts the formation energy at -6.1 kcal/mol of atoms. The excess energy over the best structure of this formula in the dataset comes out at 283.2 meV per atom. The corrected total energy (MP2020 scheme) comes out at -9.3913 eV/atom.

Geometry as POSCAR:
```
Cr3N2
1.0
-0.980 -0.383 2.962
-1.873 -0.809 -2.392
2.227 -5.304 0.051
Cr N
3 2
Cartesian
0.000 0.000 0.000 Cr
-0.101 -4.177 -0.573 Cr
-0.524 -2.319 1.195 Cr
-1.006 -2.022 -0.594 N
0.380 -4.474 1.216 N
```

***

Record 10
The following is a GGA-PBE calculation of a relaxed structure of Cr3N4, from the Materials Project.

Values from the calculation:
The calculation puts the formation energy at -9.9 kcal/mol of atoms. The excess energy over the best structure of this formula in the dataset comes out at 79.2 meV per atom. The corrected total energy (MP2020 scheme) comes out at -9.3309 eV/atom.

Geometry as POSCAR:
```
Cr3N4
1.0
-2.445 -5.291 0.858
-3.425 4.157 2.388
0.554 0.994 -5.781
N Cr
8 6
Cartesian
0.065 0.754 -2.743 N
-1.864 1.751 1.247 N
-1.647 2.832 -1.549 N
-3.086 -0.894 1.676 N
-1.188 -2.584 0.072 N
-4.988 -0.132 -2.378 N
-0.912 -2.087 -2.819 N
-2.330 -0.062 -1.111 N
-2.674 -1.500 -0.014 Cr
-4.761 -0.207 2.010 Cr
-2.390 3.325 -3.160 Cr
-2.544 1.648 -0.461 Cr
-1.427 -0.324 -2.694 Cr
-2.152 -3.365 -3.286 Cr
```

***

Record 11
The following is a GGA-PBE calculation of a relaxed structure of CrN, from the Materials Project.

Values from the calculation:
The calculation puts the formation energy at -15.4 kcal/mol of atoms. The corrected total energy (MP2020 scheme) comes out at -9.6638 eV/atom.

Geometry as POSCAR:
```
CrN
1.0
-2.124 2.124 0.000
0.000 0.000 4.110
4.051 4.051 0.000
Cr N
4 4
Cartesian
-0.136 1.988 2.055 Cr
0.086 0.086 4.110 Cr
2.112 2.112 0.000 Cr
1.890 4.014 2.055 Cr
1.954 1.954 2.055 N
0.022 2.146 0.000 N
2.047 4.171 0.000 N
3.981 3.981 2.055 N
```

***

Record 12
The following is a GGA-PBE calculation of a relaxed structure of Cr3N2, from the Materials Project.

Values from the calculation:
The calculation puts the formation energy at -9.9 kcal/mol of atoms. The excess energy over the best structure of this formula in the dataset comes out at 119.3 meV per atom. The corrected total energy (MP2020 scheme) comes out at -9.5552 eV/atom.

Geometry as POSCAR:
```
Cr3N2
1.0
-0.334 4.457 -1.684
-2.941 1.312 4.055
6.082 1.891 3.799
N Cr
8 12
Cartesian
0.267 3.603 -0.661 N
0.643 5.747 4.909 N
2.540 4.057 6.832 N
3.845 5.619 3.966 N
2.281 2.853 3.727 N
-1.037 2.041 2.205 N
2.165 1.913 1.262 N
0.526 4.807 2.444 N
3.180 4.100 4.965 Cr
1.973 6.005 3.473 Cr
4.575 4.442 2.560 Cr
3.703 1.890 2.753 Cr
0.692 3.850 4.216 Cr
-0.895 5.770 3.418 Cr
-1.768 3.218 3.611 Cr
-0.372 3.560 1.206 Cr
0.835 1.655 2.697 Cr
2.116 3.810 1.955 Cr
-2.517 5.132 1.474 Cr
-0.758 0.636 0.897 Cr
```